Run A
Crystalline Mg14CoBO16 at its relaxed geometry. Source: the Materials Project, functional PBE with a Hubbard U.

Values from the calculation:
SG: No. 123

Lattice parameters (Å, degrees): 8.4192 8.4192 4.2650 90.00 90.00 90.00
Closest atoms and distances in Å follow each position.
Atoms (fractional coordinates):
1 O 0.0000 0.0000 0.5000  4 Mg 2.06, 2 Co 2.13
2 O 0.0000 0.7314 0.0000  5 Mg 1.95-2.14
3 O 0.5000 0.0000 0.5000  6 Mg 2.13-2.17
4 O 0.5000 0.2928 0.0000  1 B 1.74
5 O 0.0000 0.2686 0.0000  5 Mg 1.95-2.14
6 O 0.7314 0.0000 0.0000  5 Mg 1.95-2.14
7 O 0.2510 0.7490 0.5000  6 Mg 2.10-2.13
8 O 0.5000 0.7072 0.0000  1 B 1.74
9 O 0.2686 0.0000 0.0000  5 Mg 1.95-2.14
10 O 0.7490 0.7490 0.5000  6 Mg 2.10-2.13
11 O 0.0000 0.5000 0.5000  6 Mg 2.13-2.17
12 O 0.2510 0.2510 0.5000  6 Mg 2.10-2.13
13 O 0.7490 0.2510 0.5000  6 Mg 2.10-2.13
14 O 0.2928 0.5000 0.0000  1 B 1.74
15 O 0.5000 0.5000 0.5000  4 Mg 2.04, 2 B 2.13
16 O 0.7072 0.5000 0.0000  1 B 1.74
17 Mg 0.0000 0.2451 0.5000  6 O 2.06-2.15
18 Mg 0.2580 0.5000 0.5000  6 O 2.04-2.17
19 Mg 0.0000 0.5000 0.0000  4 O 1.95-2.13
20 Mg 0.0000 0.7549 0.5000  6 O 2.06-2.15
21 Mg 0.5000 0.7420 0.5000  6 O 2.04-2.17
22 Mg 0.2451 0.0000 0.5000  6 O 2.06-2.15
23 Mg 0.5000 0.0000 0.0000  4 O 1.95-2.13
24 Mg 0.2482 0.7518 0.0000  6 O 2.10-2.15
25 Mg 0.7420 0.5000 0.5000  6 O 2.04-2.17
26 Mg 0.7549 0.0000 0.5000  6 O 2.06-2.15
27 Mg 0.5000 0.2580 0.5000  6 O 2.04-2.17
28 Mg 0.2482 0.2482 0.0000  6 O 2.10-2.15
29 Mg 0.7518 0.2482 0.0000  6 O 2.10-2.15
30 Mg 0.7518 0.7518 0.0000  6 O 2.10-2.15
31 Co 0.0000 0.0000 0.0000  6 O 2.13-2.26
32 B 0.5000 0.5000 0.0000  4 O 1.74

***

Run B
Crystalline Mg14CoBO16 at its relaxed geometry. Source: the Materials Project, functional PBE with a Hubbard U.

Values from the calculation:
SG: No. 47

Lattice parameters (Å, degrees): 8.5638 8.4260 4.2623 90.00 90.00 90.00
Closest atoms and distances in Å follow each position.
Atoms (fractional coordinates):
1 O 0.2634 0.5000 0.0000  5 Mg 2.03-2.14, 1 B 2.26
2 O 0.7541 0.0000 0.0000  1 Co 2.11, 5 Mg 2.13-2.18
3 O 0.2454 0.2494 0.5000  6 Mg 2.10-2.18
4 O 0.2459 0.0000 0.0000  1 Co 2.11, 5 Mg 2.13-2.18
5 O 0.2454 0.7506 0.5000  6 Mg 2.10-2.18
6 O 0.5000 0.0000 0.5000  6 Mg 2.11-2.18
7 O 0.7546 0.2494 0.5000  6 Mg 2.10-2.18
8 O 0.0000 0.5000 0.5000  4 Mg 2.03-2.12, 2 B 2.13
9 O 0.0000 0.3355 0.0000  1 B 1.39
10 O 0.5000 0.5000 0.5000  6 Mg 2.10-2.16
11 O 0.5000 0.7539 0.0000  6 Mg 2.07-2.14
12 O 0.7546 0.7506 0.5000  6 Mg 2.10-2.18
13 O 0.0000 0.6645 0.0000  1 B 1.39
14 O 0.5000 0.2461 0.0000  6 Mg 2.07-2.14
15 O 0.0000 0.0000 0.5000  4 Mg 2.11-2.18, 2 Co 2.13
16 O 0.7366 0.5000 0.0000  5 Mg 2.03-2.14, 1 B 2.26
17 Mg 0.7490 0.2552 0.0000  6 O 2.07-2.25
18 Mg 0.7524 0.5000 0.5000  6 O 2.11-2.16
19 Mg 0.5000 0.5000 0.0000  6 O 2.03-2.14
20 Mg 0.0000 0.2591 0.5000  6 O 2.03-2.23
21 Mg 0.2510 0.2552 0.0000  6 O 2.07-2.25
22 Mg 0.5000 0.0000 0.0000  6 O 2.07-2.18
23 Mg 0.2476 0.5000 0.5000  6 O 2.11-2.16
24 Mg 0.0000 0.7409 0.5000  6 O 2.03-2.23
25 Mg 0.2510 0.7448 0.0000  6 O 2.07-2.25
26 Mg 0.7541 0.0000 0.5000  6 O 2.10-2.18
27 Mg 0.7490 0.7448 0.0000  6 O 2.07-2.25
28 Mg 0.5000 0.2503 0.5000  6 O 2.10-2.18
29 Mg 0.2459 0.0000 0.5000  6 O 2.10-2.18
30 Mg 0.5000 0.7497 0.5000  6 O 2.10-2.18
31 B 0.0000 0.5000 0.0000  2 O 1.39
32 Co 0.0000 0.0000 0.0000  4 O 2.11-2.13

***

Which is most stable, and by how much? run B, by 46 meV/atom.

***

Run A
Crystalline CoB4O7 at its relaxed geometry. Source: the Materials Project, functional PBE with a Hubbard U.

Lattice parameters (Å, degrees): 6.3705 8.2334 8.2333 78.61 111.55 111.55
Closest atoms and distances in Å follow each position.
Atoms (fractional coordinates):
1 O 0.0789 0.1645 0.9145  2 B 1.48
2 O 0.1954 0.2524 0.5025  3 B 1.56-1.57
3 O 0.9211 0.8355 0.0855  2 B 1.48
4 O 0.5542 0.1668 0.6441  2 B 1.44-1.45
5 O 0.1890 0.7343 0.7115  2 B 1.45
6 O 0.5542 0.3941 0.4169  2 B 1.45
7 O 0.8110 0.0385 0.5158  2 B 1.44-1.45
8 O 0.8046 0.7476 0.4975  3 B 1.56-1.57
9 O 0.8110 0.7658 0.7885  2 B 1.44-1.45
10 O 0.1890 0.4615 0.9842  2 B 1.45
11 O 0.4458 0.6059 0.5831  2 B 1.45
12 O 0.8045 0.2475 0.9976  3 B 1.56-1.57
13 O 0.7550 0.9727 0.2228  3 B 1.56-1.57
14 O 0.7549 0.4727 0.7227  3 B 1.56-1.57
15 O 0.0791 0.6646 0.4145  2 B 1.48
16 O 0.5543 0.6669 0.1441  2 B 1.45
17 O 0.1890 0.2342 0.2115  2 B 1.44-1.45
18 O 0.4457 0.3331 0.8559  2 B 1.45
19 O 0.4457 0.1058 0.0832  2 B 1.44-1.45
20 O 0.9209 0.3354 0.5855  2 B 1.48
21 O 0.4458 0.8332 0.3559  2 B 1.44-1.45
22 O 0.2450 0.0273 0.7772  3 B 1.56-1.57
23 O 0.2451 0.5273 0.2773  3 B 1.56-1.57
24 O 0.5543 0.8942 0.9168  2 B 1.44-1.45
25 O 0.8110 0.2657 0.2885  2 B 1.45
26 O 0.1955 0.7525 0.0024  3 B 1.56-1.57
27 O 0.8110 0.5385 0.0158  2 B 1.45
28 O 0.1890 0.9615 0.4842  2 B 1.44-1.45
29 B 0.9250 0.7205 0.9703  4 O 1.44-1.57
30 B 0.7029 0.1484 0.1485  4 O 1.45-1.56
31 B 0.2969 0.3514 0.3515  4 O 1.45-1.56
32 B 0.9249 0.2202 0.4704  4 O 1.44-1.57
33 B 0.7030 0.8985 0.3985  4 O 1.45-1.56
34 B 0.2970 0.1015 0.6015  4 O 1.45-1.56
35 B 0.6908 0.8376 0.0874  4 O 1.44-1.57
36 B 0.0751 0.7798 0.5296  4 O 1.44-1.57
37 B 0.6906 0.3374 0.5875  4 O 1.44-1.57
38 B 0.7030 0.3985 0.8985  4 O 1.45-1.56
39 B 0.2971 0.8516 0.8515  4 O 1.45-1.56
40 B 0.3094 0.6626 0.4125  4 O 1.44-1.57
41 B 0.2970 0.6015 0.1015  4 O 1.45-1.56
42 B 0.3092 0.1624 0.9126  4 O 1.44-1.57
43 B 0.0750 0.2795 0.0297  4 O 1.44-1.57
44 B 0.7031 0.6486 0.6485  4 O 1.45-1.56
45 Co 0.7581 0.0041 0.7540  5 O 2.06-2.10
46 Co 0.2420 0.4961 0.7459  5 O 2.06-2.10
47 Co 0.7580 0.5039 0.2541  5 O 2.06-2.10
48 Co 0.2419 0.9959 0.2460  5 O 2.06-2.10

***

Run B
Crystalline CoB4O7 at its relaxed geometry. Source: the Materials Project, functional PBE with a Hubbard U.

Values from the calculation:
SG: No. 61

Lattice parameters (Å, degrees): 8.3108 8.7709 13.8795 90.00 90.00 90.00
Closest atoms and distances in Å follow each position.
Atoms (fractional coordinates):
1 Co 0.1110 0.1265 0.1206  4 O 2.00-2.05
2 Co 0.6110 0.1265 0.3794  4 O 2.00-2.05
3 Co 0.8890 0.8735 0.8794  4 O 2.00-2.05
4 Co 0.3890 0.8735 0.6206  4 O 2.00-2.05
5 Co 0.3890 0.6265 0.1206  4 O 2.00-2.05
6 Co 0.8890 0.6265 0.3794  4 O 2.00-2.05
7 Co 0.1110 0.3735 0.6206  4 O 2.00-2.05
8 Co 0.6110 0.3735 0.8794  4 O 2.00-2.05
9 O 0.5171 0.3027 0.7507  1 B 1.39
10 O 0.3480 0.3366 0.6084  2 B 1.46-1.48
11 O 0.3089 0.3858 0.0031  2 B 1.36-1.42
12 O 0.5947 0.0547 0.7959  2 B 1.35-1.43
13 O 0.4053 0.9453 0.2041  2 B 1.35-1.43
14 O 0.6911 0.8858 0.4969  2 B 1.36-1.42
15 O 0.6171 0.0572 0.1142  2 B 1.35-1.45
16 O 0.9382 0.7397 0.5041  2 B 1.41-1.52
17 O 0.0947 0.4453 0.2041  2 B 1.35-1.43
18 O 0.6911 0.6142 0.9969  2 B 1.36-1.42
19 O 0.3829 0.5572 0.3858  2 B 1.35-1.45
20 O 0.8089 0.3858 0.4969  2 B 1.36-1.42
21 O 0.9053 0.9453 0.2959  2 B 1.35-1.43
22 O 0.0171 0.3027 0.7493  1 B 1.39
23 O 0.0171 0.1973 0.2493  1 B 1.39
24 O 0.5618 0.2603 0.0041  2 B 1.41-1.52
25 O 0.4382 0.7603 0.4959  2 B 1.41-1.52
26 O 0.8480 0.1634 0.3916  2 B 1.46-1.48
27 O 0.8089 0.1142 0.9969  2 B 1.36-1.42
28 O 0.6520 0.6634 0.3916  2 B 1.46-1.48
29 O 0.8480 0.3366 0.8916  2 B 1.46-1.48
30 O 0.3480 0.1634 0.1084  2 B 1.46-1.48
31 O 0.4382 0.7397 0.9959  2 B 1.41-1.52
32 O 0.1171 0.0572 0.3858  2 B 1.35-1.45
33 O 0.0618 0.2397 0.9959  2 B 1.41-1.52
34 O 0.4829 0.6973 0.2493  1 B 1.39
35 O 0.3089 0.1142 0.5031  2 B 1.36-1.42
36 O 0.8829 0.9428 0.6142  2 B 1.35-1.45
37 O 0.4829 0.8027 0.7493  1 B 1.39
38 O 0.9829 0.8027 0.7507  1 B 1.39
39 O 0.6171 0.4428 0.6142  2 B 1.35-1.45
40 O 0.0618 0.2603 0.4959  2 B 1.41-1.52
41 O 0.0328 0.9081 0.1428  2 B 1.39-1.52
42 O 0.1911 0.8858 0.0031  2 B 1.36-1.42
43 O 0.1171 0.4428 0.8858  2 B 1.35-1.45
44 O 0.4672 0.4081 0.1428  2 B 1.39-1.52
45 O 0.9829 0.6973 0.2507  1 B 1.39
46 O 0.9672 0.4081 0.3572  2 B 1.39-1.52
47 O 0.3829 0.9428 0.8858  2 B 1.35-1.45
48 O 0.5618 0.2397 0.5041  2 B 1.41-1.52
49 O 0.4053 0.5547 0.7041  2 B 1.35-1.43
50 O 0.4672 0.0919 0.6428  2 B 1.39-1.52
51 O 0.1520 0.8366 0.6084  2 B 1.46-1.48
52 O 0.0947 0.0547 0.7041  2 B 1.35-1.43
53 O 0.5328 0.9081 0.3572  2 B 1.39-1.52
54 O 0.1911 0.6142 0.5031  2 B 1.36-1.42
55 O 0.9053 0.5547 0.7959  2 B 1.35-1.43
56 O 0.0328 0.5919 0.6428  2 B 1.39-1.52
57 O 0.5328 0.5919 0.8572  2 B 1.39-1.52
58 O 0.9382 0.7603 0.0041  2 B 1.41-1.52
59 O 0.9672 0.0919 0.8572  2 B 1.39-1.52
60 O 0.5171 0.1973 0.2507  1 B 1.39
61 O 0.5947 0.4453 0.2959  2 B 1.35-1.43
62 O 0.6520 0.8366 0.8916  2 B 1.46-1.48
63 O 0.1520 0.6634 0.1084  2 B 1.46-1.48
64 O 0.8829 0.5572 0.1142  2 B 1.35-1.45
65 B 0.9743 0.6476 0.7300  3 O 1.35-1.39
66 B 0.0257 0.3524 0.2700  3 O 1.35-1.39
67 B 0.0298 0.9150 0.6678  4 O 1.43-1.56
68 B 0.0298 0.5850 0.1678  4 O 1.43-1.56
69 B 0.6631 0.3568 0.5382  3 O 1.35-1.41
70 B 0.0257 0.1476 0.7700  3 O 1.35-1.39
71 B 0.9743 0.8524 0.2300  3 O 1.35-1.39
72 B 0.4702 0.4150 0.6678  4 O 1.43-1.56
73 B 0.0864 0.8006 0.0631  4 O 1.42-1.52
74 B 0.3369 0.8568 0.9618  3 O 1.35-1.41
75 B 0.9702 0.4150 0.8322  4 O 1.43-1.56
76 B 0.4136 0.1994 0.5631  4 O 1.42-1.52
77 B 0.1631 0.1432 0.4618  3 O 1.35-1.41
78 B 0.8369 0.6432 0.0382  3 O 1.35-1.41
79 B 0.5298 0.9150 0.8322  4 O 1.43-1.56
80 B 0.5298 0.5850 0.3322  4 O 1.43-1.56
81 B 0.5864 0.6994 0.9369  4 O 1.42-1.52
82 B 0.4743 0.6476 0.7700  3 O 1.35-1.39
83 B 0.4743 0.8524 0.2700  3 O 1.35-1.39
84 B 0.5864 0.8006 0.4369  4 O 1.42-1.52
85 B 0.9702 0.0850 0.3322  4 O 1.43-1.56
86 B 0.4136 0.3006 0.0631  4 O 1.42-1.52
87 B 0.3369 0.6432 0.4618  3 O 1.35-1.41
88 B 0.4702 0.0850 0.1678  4 O 1.43-1.56
89 B 0.1631 0.3568 0.9618  3 O 1.35-1.41
90 B 0.9136 0.1994 0.9369  4 O 1.42-1.52
91 B 0.8369 0.8568 0.5382  3 O 1.35-1.41
92 B 0.5257 0.1476 0.7300  3 O 1.35-1.39
93 B 0.5257 0.3524 0.2300  3 O 1.35-1.39
94 B 0.9136 0.3006 0.4369  4 O 1.42-1.52
95 B 0.0864 0.6994 0.5631  4 O 1.42-1.52
96 B 0.6631 0.1432 0.0382  3 O 1.35-1.41

***

Which is most stable, and by how much? run B, by 55 meV/atom.